# Mg2PO8 PBE-GGA relaxed
# Energy relative to the elements (eV per atom): -1.51
# Magnetization (μB per formula unit): 7.0
data_Mg2PO8
_cell_length_a 4.6441
_cell_length_b 12.0683
_cell_length_c 10.0844
_cell_angle_alpha 90.00
_cell_angle_beta 100.85
_cell_angle_gamma 90.00
_space_group_name_H-M_alt 'P 1 21/c 1'
_space_group_IT_number 14
loop_
_space_group_symop_operation_xyz
'x,y,z'
'-x,-y,-z'
'-x,y+1/2,-z+1/2'
'x,-y+1/2,z+1/2'
loop_
_atom_site_label
_atom_site_type_symbol
_atom_site_fract_x
_atom_site_fract_y
_atom_site_fract_z
Mg1 Mg 0.0221 0.2344 0.4825
Mg2 Mg 0.0953 0.5103 0.1826
P1 P 0.4015 0.1863 0.2552
O1 O 0.0819 0.6487 0.8519
O2 O 0.1730 0.0642 0.5108
O3 O 0.2279 0.0749 0.2359
O4 O 0.2407 0.2275 0.8291
O5 O 0.2642 0.6129 0.4682
O6 O 0.2917 0.6630 0.1618
O7 O 0.4116 0.2286 0.1105
O8 O 0.4321 0.0259 0.8590

---

# SiO2 PBE-GGA relaxed
# Energy relative to the elements (eV per atom): -3.25
data_SiO2
_cell_length_a 9.1770
_cell_length_b 15.1928
_cell_length_c 19.3149
_cell_angle_alpha 90.00
_cell_angle_beta 90.00
_cell_angle_gamma 90.00
_space_group_name_H-M_alt 'C m c e'
_space_group_IT_number 64
_space_group_name_Hall '-C 2ac 2'
loop_
_atom_site_label
_atom_site_type_symbol
_atom_site_fract_x
_atom_site_fract_y
_atom_site_fract_z
Si1 Si 0.1714 0.0031 0.0824
Si2 Si 0.1743 0.1558 0.8209
Si3 Si 0.1758 0.1429 0.3221
O1 O 0.0000 0.0227 0.0990
O2 O 0.0000 0.1370 0.3152
O3 O 0.0000 0.1540 0.8093
O4 O 0.2002 0.0000 0.0000
O5 O 0.2194 0.0916 0.8847
O6 O 0.2264 0.2440 0.3382
O7 O 0.2298 0.0812 0.3853
O8 O 0.2500 0.1094 0.2500
O9 O 0.2500 0.1208 0.7500

---

# Te2MoW3Se6 PBE-GGA relaxed
# Energy relative to the elements (eV per atom): -0.68
# Magnetization (μB per formula unit): 0.0
data_Te2MoW3Se6
_cell_length_a 3.3817
_cell_length_b 3.3817
_cell_length_c 38.4803
_cell_angle_alpha 90.00
_cell_angle_beta 90.00
_cell_angle_gamma 120.00
_space_group_name_H-M_alt 'P 3 m 1'
_space_group_IT_number 156
loop_
_space_group_symop_operation_xyz
'x,y,z'
'-y,x-y,z'
'-x+y,-x,z'
'-y,-x,z'
'-x+y,y,z'
'x,x-y,z'
loop_
_atom_site_label
_atom_site_type_symbol
_atom_site_fract_x
_atom_site_fract_y
_atom_site_fract_z
Te1 Te 0.0000 0.0000 0.0000
Te2 Te 0.0000 0.0000 0.0982
Mo1 Mo 0.0000 0.0000 0.4854
W1 W 0.0000 0.0000 0.8612
W2 W 0.3333 0.6667 0.0491
W3 W 0.3333 0.6667 0.6733
Se1 Se 0.0000 0.0000 0.6302
Se2 Se 0.0000 0.0000 0.7165
Se3 Se 0.3333 0.6667 0.4425
Se4 Se 0.3333 0.6667 0.5284
Se5 Se 0.3333 0.6667 0.8181
Se6 Se 0.3333 0.6667 0.9043

---

# AgI PBE-GGA relaxed
# Energy relative to the elements (eV per atom): -0.45
data_AgI
_cell_length_a 4.5891
_cell_length_b 4.5891
_cell_length_c 6.6732
_cell_angle_alpha 90.00
_cell_angle_beta 90.00
_cell_angle_gamma 90.00
_space_group_name_H-M_alt 'P 4/n m m'
_space_group_IT_number 129
loop_
_space_group_symop_operation_xyz
'x,y,z'
'-x,-y,-z'
'-y+1/2,x,z'
'y+1/2,-x,-z'
'-x+1/2,-y+1/2,z'
'x+1/2,y+1/2,-z'
'y,-x+1/2,z'
'-y,x+1/2,-z'
'x+1/2,-y,-z'
'-x+1/2,y,z'
'-y,-x,-z'
'y,x,z'
'-x,y+1/2,-z'
'x,-y+1/2,z'
'y+1/2,x+1/2,-z'
'-y+1/2,-x+1/2,z'
loop_
_atom_site_label
_atom_site_type_symbol
_atom_site_fract_x
_atom_site_fract_y
_atom_site_fract_z
Ag1 Ag 0.2500 0.7500 0.0000
I1 I 0.2500 0.2500 0.2715

---

# SiO2 PBE-GGA relaxed
# Energy relative to the elements (eV per atom): -3.25
# Magnetization (μB per formula unit): 0.0
data_SiO2
_cell_length_a 12.6938
_cell_length_b 21.3739
_cell_length_c 13.6451
_cell_angle_alpha 90.00
_cell_angle_beta 90.00
_cell_angle_gamma 90.00
_space_group_name_H-M_alt 'A m m 2'
_space_group_IT_number 38
loop_
_space_group_symop_operation_xyz
'x,y,z'
'-x,-y,z'
'-x,y,z'
'x,-y,z'
'x,y+1/2,z+1/2'
'-x,-y+1/2,z+1/2'
'-x,y+1/2,z+1/2'
'x,-y+1/2,z+1/2'
loop_
_atom_site_label
_atom_site_type_symbol
_atom_site_fract_x
_atom_site_fract_y
_atom_site_fract_z
Si1 Si 0.0000 0.0751 0.0000
Si2 Si 0.0000 0.0753 0.2255
Si3 Si 0.1264 0.2190 0.7223
Si4 Si 0.1267 0.2187 0.4971
Si5 Si 0.1912 0.1499 0.9100
Si6 Si 0.1941 0.1507 0.3101
Si7 Si 0.3756 0.0720 0.2234
Si8 Si 0.3768 0.0728 0.9929
O1 O 0.0000 0.0000 0.0001
O2 O 0.0000 0.0000 0.2285
O3 O 0.0000 0.1007 0.1126
O4 O 0.0000 0.2214 0.4761
O5 O 0.0000 0.2255 0.7412
O6 O 0.1043 0.0987 0.9433
O7 O 0.1046 0.1001 0.2807
O8 O 0.1495 0.1985 0.6098
O9 O 0.1757 0.1659 0.7941
O10 O 0.1781 0.2128 0.9761
O11 O 0.1822 0.1673 0.4261
O12 O 0.1820 0.2138 0.2441
O13 O 0.3073 0.1196 0.9255
O14 O 0.3093 0.1202 0.2912
O15 O 0.3456 0.0000 0.2525
O16 O 0.3474 0.0840 0.1081
O17 O 0.3535 0.0000 0.9635
O18 O 0.5000 0.0845 0.2429
O19 O 0.5000 0.0894 0.9736

---

# Eu2MnP3Pt7 PBE-GGA relaxed
# Energy relative to the elements (eV per atom): -0.85
# Magnetization (μB per formula unit): 18.3
data_Eu2MnP3Pt7
_cell_length_a 4.1015
_cell_length_b 4.1015
_cell_length_c 27.1808
_cell_angle_alpha 90.00
_cell_angle_beta 90.00
_cell_angle_gamma 90.00
_space_group_name_H-M_alt 'I -4 m 2'
_space_group_IT_number 119
_space_group_name_Hall 'I -4 -2'
loop_
_atom_site_label
_atom_site_type_symbol
_atom_site_fract_x
_atom_site_fract_y
_atom_site_fract_z
Eu1 Eu 0.0000 0.0000 0.1649
Mn1 Mn 0.0000 0.0000 0.0000
P1 P 0.0000 0.0000 0.3797
P2 P 0.0000 0.5000 0.2500
Pt1 Pt 0.0000 0.0000 0.2930
Pt2 Pt 0.0000 0.0000 0.5000
Pt3 Pt 0.0000 0.5000 0.0714
Pt4 Pt 0.0000 0.5000 0.5722